1:
A relaxed Li7Co5O12 crystal. Source: the Materials Project database, functional PBE+U.

Cell: 6.384 6.384 11.932 Å, 75.51 75.51 27.15°
Element x y z (fractional)
Co  0.340  0.340  0.658
Co  0.660  0.660  0.342
Co  0.000  0.000  0.000
Co  0.669  0.669  0.832
Co  0.331  0.331  0.168
Li  0.667  0.667  0.086
Li  0.002  0.002  0.250
Li  0.334  0.334  0.420
Li  0.000  0.000  0.500
Li  0.998  0.998  0.750
Li  0.333  0.333  0.914
Li  0.666  0.666  0.580
O  0.493  0.493  0.124
O  0.826  0.826  0.788
O  0.517  0.517  0.369
O  0.167  0.167  0.449
O  0.174  0.174  0.212
O  0.483  0.483  0.631
O  0.821  0.821  0.291
O  0.507  0.507  0.876
O  0.160  0.160  0.956
O  0.840  0.840  0.044
O  0.833  0.833  0.551
O  0.179  0.179  0.709

=====

2:
A relaxed Li7Co5O12 crystal. Source: the Materials Project database, functional PBE+U.

Cell: 7.791 7.791 10.140 Å, 70.25 70.25 21.22°
Element x y z (fractional)
O  0.582  0.582  0.035
O  0.407  0.407  0.477
O  0.914  0.914  0.203
O  0.086  0.086  0.797
O  0.749  0.749  0.139
O  0.760  0.760  0.634
O  0.095  0.095  0.297
O  0.240  0.240  0.366
O  0.418  0.418  0.965
O  0.251  0.251  0.861
O  0.593  0.593  0.523
O  0.905  0.905  0.703
Li  0.165  0.165  0.579
Li  0.500  0.500  0.741
Li  0.835  0.835  0.421
Li  0.834  0.834  0.915
Li  0.500  0.500  0.259
Li  0.000  0.000  0.500
Li  0.166  0.166  0.085
Co  0.668  0.668  0.833
Co  0.332  0.332  0.167
Co  0.338  0.338  0.659
Co  0.662  0.662  0.341
Co  0.000  0.000  0.000

=====

Structures ranked by computed energy, the most stable listed first: 2, 1.

=====

1:
A relaxed LiFeSi4O10 crystal. Source: the Materials Project database, functional PBE+U.

Cell: 5.259 7.855 12.082 Å, 67.25 90.00 90.00°
Element x y z (fractional)
O  0.486  0.639  0.135
O  0.196  0.236  0.044
O  0.804  0.764  0.956
O  0.015  0.000  0.250
O  0.305  0.229  0.590
O  0.985  0.000  0.750
O  0.486  0.361  0.365
O  0.007  0.640  0.294
O  0.196  0.764  0.456
O  0.007  0.360  0.206
O  0.993  0.360  0.706
O  0.305  0.771  0.910
O  0.993  0.640  0.794
O  0.514  0.639  0.635
O  0.514  0.361  0.865
O  0.695  0.229  0.090
O  0.500  0.000  0.500
O  0.695  0.771  0.410
O  0.804  0.236  0.544
O  0.500  0.000  0.000
Si  0.479  0.206  0.000
Si  0.020  0.206  0.648
Si  0.980  0.206  0.148
Si  0.020  0.794  0.852
Si  0.521  0.206  0.500
Si  0.479  0.794  0.500
Si  0.521  0.794  0.000
Si  0.980  0.794  0.352
Fe  0.754  0.500  0.750
Fe  0.246  0.500  0.250
Li  0.254  0.500  0.750
Li  0.746  0.500  0.250

=====

2:
A relaxed LiFeSi4O10 crystal. Source: the Materials Project database, functional PBE+U.

Cell: 7.405 7.405 14.777 Å, 90.00 90.00 90.00°
Element x y z (fractional)
O  0.758  0.430  0.127
O  0.430  0.758  0.373
O  0.917  0.791  0.928
O  0.430  0.242  0.873
O  0.791  0.083  0.072
O  0.258  0.070  0.373
O  0.417  0.709  0.572
O  0.070  0.742  0.627
O  0.291  0.417  0.428
O  0.709  0.583  0.428
O  0.417  0.291  0.072
O  0.181  0.181  0.750
O  0.242  0.570  0.127
O  0.819  0.181  0.250
O  0.070  0.258  0.127
O  0.791  0.917  0.572
O  0.083  0.791  0.428
O  0.181  0.819  0.250
O  0.819  0.819  0.750
O  0.742  0.930  0.373
O  0.681  0.681  0.250
O  0.583  0.709  0.072
O  0.709  0.417  0.928
O  0.583  0.291  0.572
O  0.570  0.242  0.373
O  0.917  0.209  0.428
O  0.209  0.917  0.072
O  0.083  0.209  0.928
O  0.209  0.083  0.572
O  0.242  0.430  0.627
O  0.319  0.681  0.750
O  0.258  0.930  0.873
O  0.319  0.319  0.250
O  0.758  0.570  0.627
O  0.930  0.258  0.627
O  0.742  0.070  0.873
O  0.291  0.583  0.928
O  0.570  0.758  0.873
O  0.930  0.742  0.127
O  0.681  0.319  0.750
Si  0.647  0.735  0.355
Si  0.765  0.853  0.855
Si  0.853  0.235  0.145
Si  0.147  0.765  0.145
Si  0.235  0.853  0.355
Si  0.353  0.735  0.855
Si  0.353  0.265  0.355
Si  0.765  0.147  0.355
Si  0.735  0.353  0.645
Si  0.265  0.647  0.645
Si  0.735  0.647  0.145
Si  0.147  0.235  0.645
Si  0.647  0.265  0.855
Si  0.853  0.765  0.645
Si  0.265  0.353  0.145
Si  0.235  0.147  0.855
Fe  0.500  0.500  0.000
Fe  0.500  0.500  0.500
Fe  0.000  0.000  0.500
Fe  0.000  0.000  0.000
Li  0.000  0.500  0.941
Li  0.500  0.000  0.559
Li  0.000  0.500  0.441
Li  0.500  0.000  0.059

=====

Structures ranked by computed energy, the most stable listed first: 1, 2.